Entry 1:
Nd4Fe4As4O3F after structural relaxation. Source: the Materials Project, functional PBE+U.

Unit cell a=9.968 b=9.968 c=9.968 alpha=146.60 beta=146.60 gamma=47.95
Sites, in units of the cell vectors:
O: 0.000 0.500 0.500
O: 0.000 0.000 0.000
O: 0.500 0.000 0.500
Fe: 0.250 0.250 0.000
Fe: 0.750 0.250 0.500
Fe: 0.750 0.750 0.000
Fe: 0.250 0.750 0.500
Nd: 0.830 0.310 0.000
Nd: 0.310 0.830 0.000
Nd: 0.170 0.170 0.480
Nd: 0.690 0.690 0.520
As: 0.410 0.410 0.502
As: 0.590 0.093 0.000
As: 0.093 0.590 0.000
As: 0.907 0.907 0.498
F: 0.500 0.500 0.000

* ΔE_f: -1.67 eV per atom

---

Entry 2:
KNiAs3F18 after structural relaxation. Source: the Materials Project, functional PBE+U.

Unit cell a=9.620 b=10.532 c=14.105 alpha=90.00 beta=90.00 gamma=90.00
Sites, in units of the cell vectors:
F: 0.717 0.215 0.140
F: 0.108 0.622 0.459
F: 0.207 0.285 0.035
F: 0.826 0.923 0.057
F: 0.938 0.172 0.452
F: 0.559 0.682 0.750
F: 0.941 0.182 0.750
F: 0.059 0.818 0.250
F: 0.392 0.122 0.459
F: 0.432 0.477 0.750
F: 0.068 0.977 0.750
F: 0.158 0.138 0.250
F: 0.403 0.122 0.634
F: 0.097 0.622 0.634
F: 0.207 0.285 0.465
F: 0.390 0.476 0.120
F: 0.062 0.828 0.548
F: 0.718 0.067 0.750
F: 0.608 0.878 0.541
F: 0.782 0.567 0.750
F: 0.438 0.328 0.548
F: 0.717 0.215 0.360
F: 0.707 0.215 0.535
F: 0.282 0.933 0.250
F: 0.892 0.378 0.541
F: 0.392 0.122 0.041
F: 0.938 0.172 0.048
F: 0.110 0.976 0.380
F: 0.342 0.638 0.250
F: 0.890 0.024 0.620
F: 0.932 0.023 0.250
F: 0.793 0.715 0.535
F: 0.110 0.976 0.120
F: 0.562 0.672 0.048
F: 0.674 0.423 0.443
F: 0.283 0.785 0.860
F: 0.892 0.378 0.959
F: 0.597 0.878 0.134
F: 0.562 0.672 0.452
F: 0.217 0.285 0.860
F: 0.826 0.923 0.443
F: 0.890 0.024 0.880
F: 0.783 0.715 0.140
F: 0.293 0.785 0.035
F: 0.903 0.378 0.366
F: 0.610 0.524 0.880
F: 0.174 0.077 0.943
F: 0.674 0.423 0.057
F: 0.438 0.328 0.952
F: 0.608 0.878 0.959
F: 0.062 0.828 0.952
F: 0.217 0.285 0.640
F: 0.326 0.577 0.943
F: 0.783 0.715 0.360
F: 0.441 0.318 0.250
F: 0.658 0.362 0.750
F: 0.390 0.476 0.380
F: 0.293 0.785 0.465
F: 0.283 0.785 0.640
F: 0.108 0.622 0.041
F: 0.903 0.378 0.134
F: 0.610 0.524 0.620
F: 0.403 0.122 0.866
F: 0.218 0.433 0.250
F: 0.842 0.862 0.750
F: 0.597 0.878 0.366
F: 0.568 0.523 0.250
F: 0.097 0.622 0.866
F: 0.326 0.577 0.557
F: 0.793 0.715 0.965
F: 0.174 0.077 0.557
F: 0.707 0.215 0.965
K: 0.523 0.076 0.250
K: 0.023 0.424 0.750
K: 0.977 0.576 0.250
K: 0.477 0.924 0.750
Ni: 0.500 0.500 0.000
Ni: 0.000 0.000 0.000
Ni: 0.000 0.000 0.500
Ni: 0.500 0.500 0.500
As: 0.607 0.521 0.750
As: 0.305 0.204 0.951
As: 0.695 0.796 0.049
As: 0.893 0.021 0.750
As: 0.195 0.704 0.549
As: 0.805 0.296 0.049
As: 0.393 0.479 0.250
As: 0.107 0.979 0.250
As: 0.695 0.796 0.451
As: 0.305 0.204 0.549
As: 0.805 0.296 0.451
As: 0.195 0.704 0.951

* ΔE_f: -2.49 eV per atom

---

Entry 3:
MnAs2F12 after structural relaxation. Source: the Materials Project, functional PBE+U.

Unit cell a=9.506 b=9.506 c=9.506 alpha=132.36 beta=132.36 gamma=69.67
Sites, in units of the cell vectors:
Mn: 0.750 0.250 0.500
Mn: 0.000 0.000 0.000
F: 0.581 0.963 0.314
F: 0.713 0.831 0.814
F: 0.542 0.667 0.801
F: 0.733 0.419 0.382
F: 0.988 0.165 0.716
F: 0.208 0.509 0.625
F: 0.037 0.352 0.618
F: 0.762 0.978 0.677
F: 0.417 0.792 0.301
F: 0.301 0.085 0.323
F: 0.866 0.741 0.199
F: 0.915 0.238 0.216
F: 0.102 0.287 0.118
F: 0.449 0.272 0.284
F: 0.728 0.012 0.177
F: 0.169 0.983 0.882
F: 0.022 0.699 0.784
F: 0.835 0.551 0.823
F: 0.884 0.583 0.375
F: 0.648 0.267 0.686
F: 0.491 0.116 0.699
F: 0.259 0.458 0.125
F: 0.333 0.134 0.875
F: 0.017 0.898 0.186
As: 0.529 0.029 0.500
As: 0.971 0.471 0.500
As: 0.221 0.221 0.000
As: 0.779 0.779 0.000

* ΔE_f: -2.55 eV per atom

---

Entry 4:
NiAs3NF18 after structural relaxation. Source: the Materials Project, functional PBE+U.

Unit cell a=9.528 b=10.536 c=14.093 alpha=90.00 beta=90.00 gamma=90.00
Sites, in units of the cell vectors:
F: 0.172 0.922 0.937
F: 0.042 0.050 0.750
F: 0.206 0.718 0.468
F: 0.438 0.671 0.550
F: 0.894 0.620 0.534
F: 0.294 0.218 0.468
F: 0.062 0.171 0.950
F: 0.217 0.712 0.644
F: 0.672 0.578 0.437
F: 0.828 0.078 0.063
F: 0.958 0.827 0.750
F: 0.062 0.171 0.550
F: 0.404 0.874 0.642
F: 0.328 0.422 0.563
F: 0.707 0.623 0.750
F: 0.438 0.671 0.950
F: 0.880 0.977 0.880
F: 0.214 0.597 0.250
F: 0.783 0.288 0.356
F: 0.394 0.880 0.466
F: 0.794 0.282 0.532
F: 0.380 0.523 0.380
F: 0.106 0.380 0.034
F: 0.706 0.782 0.968
F: 0.286 0.097 0.250
F: 0.717 0.788 0.356
F: 0.206 0.718 0.032
F: 0.717 0.788 0.144
F: 0.380 0.523 0.120
F: 0.120 0.023 0.120
F: 0.207 0.877 0.250
F: 0.120 0.023 0.380
F: 0.394 0.880 0.034
F: 0.283 0.212 0.856
F: 0.714 0.903 0.750
F: 0.904 0.626 0.142
F: 0.096 0.374 0.858
F: 0.938 0.829 0.050
F: 0.894 0.620 0.966
F: 0.458 0.673 0.250
F: 0.106 0.380 0.466
F: 0.458 0.550 0.750
F: 0.542 0.327 0.750
F: 0.096 0.374 0.642
F: 0.793 0.123 0.750
F: 0.562 0.329 0.050
F: 0.172 0.922 0.563
F: 0.828 0.078 0.437
F: 0.283 0.212 0.644
F: 0.620 0.477 0.880
F: 0.328 0.422 0.937
F: 0.542 0.450 0.250
F: 0.042 0.173 0.250
F: 0.596 0.126 0.358
F: 0.783 0.288 0.144
F: 0.786 0.403 0.750
F: 0.938 0.829 0.450
F: 0.706 0.782 0.532
F: 0.562 0.329 0.450
F: 0.672 0.578 0.063
F: 0.404 0.874 0.858
F: 0.606 0.120 0.534
F: 0.958 0.950 0.250
F: 0.294 0.218 0.032
F: 0.794 0.282 0.968
F: 0.904 0.626 0.358
F: 0.596 0.126 0.142
F: 0.606 0.120 0.966
F: 0.880 0.977 0.620
F: 0.217 0.712 0.856
F: 0.620 0.477 0.620
F: 0.293 0.377 0.250
As: 0.805 0.704 0.446
As: 0.305 0.796 0.554
As: 0.195 0.296 0.946
As: 0.122 0.023 0.250
As: 0.695 0.204 0.054
As: 0.878 0.977 0.750
As: 0.695 0.204 0.446
As: 0.378 0.523 0.250
As: 0.195 0.296 0.554
As: 0.622 0.477 0.750
As: 0.305 0.796 0.946
As: 0.805 0.704 0.054
N: 0.985 0.423 0.250
N: 0.515 0.923 0.250
N: 0.015 0.577 0.750
N: 0.485 0.077 0.750
Ni: 0.500 0.500 0.000
Ni: 0.000 0.000 0.000
Ni: 0.500 0.500 0.500
Ni: 0.000 0.000 0.500

* ΔE_f: -1.97 eV per atom

---

Entry 5:
NiAs2S6N4O8F16 after structural relaxation. Source: the Materials Project, functional PBE+U.

Unit cell a=16.632 b=9.811 c=15.868 alpha=69.76 beta=90.00 gamma=90.00
Sites, in units of the cell vectors:
F: 0.150 0.988 0.053
F: 0.269 0.637 0.621
F: 0.089 0.776 0.871
F: 0.212 0.361 0.570
F: 0.023 0.005 0.588
F: 0.421 0.333 0.533
F: 0.977 0.995 0.412
F: 0.902 0.956 0.284
F: 0.477 0.005 0.088
F: 0.784 0.960 0.434
F: 0.835 0.290 0.614
F: 0.788 0.639 0.430
F: 0.032 0.915 0.217
F: 0.371 0.796 0.999
F: 0.079 0.333 0.033
F: 0.817 0.468 0.020
F: 0.683 0.468 0.520
F: 0.880 0.249 0.265
F: 0.405 0.647 0.593
F: 0.098 0.044 0.716
F: 0.665 0.290 0.114
F: 0.183 0.532 0.980
F: 0.968 0.085 0.783
F: 0.705 0.711 0.540
F: 0.532 0.085 0.283
F: 0.795 0.711 0.040
F: 0.712 0.639 0.930
F: 0.523 0.995 0.912
F: 0.317 0.532 0.480
F: 0.871 0.204 0.501
F: 0.288 0.361 0.070
F: 0.501 0.232 0.122
F: 0.598 0.956 0.784
F: 0.295 0.289 0.460
F: 0.380 0.751 0.235
F: 0.499 0.768 0.878
F: 0.620 0.249 0.765
F: 0.589 0.224 0.629
F: 0.095 0.647 0.093
F: 0.402 0.044 0.216
F: 0.629 0.204 0.001
F: 0.911 0.224 0.129
F: 0.335 0.710 0.886
F: 0.001 0.768 0.378
F: 0.205 0.289 0.960
F: 0.165 0.710 0.386
F: 0.999 0.232 0.622
F: 0.595 0.353 0.407
F: 0.579 0.667 0.467
F: 0.284 0.040 0.066
F: 0.731 0.363 0.379
F: 0.120 0.751 0.735
F: 0.350 0.988 0.553
F: 0.650 0.012 0.447
F: 0.129 0.796 0.499
F: 0.769 0.363 0.879
F: 0.921 0.667 0.967
F: 0.231 0.637 0.121
F: 0.216 0.040 0.566
F: 0.716 0.960 0.934
F: 0.468 0.915 0.717
F: 0.905 0.353 0.907
F: 0.411 0.776 0.371
F: 0.850 0.012 0.947
N: 0.683 0.847 0.359
N: 0.841 0.603 0.841
N: 0.520 0.837 0.252
N: 0.159 0.397 0.159
N: 0.381 0.972 0.840
N: 0.183 0.153 0.141
N: 0.317 0.153 0.641
N: 0.980 0.837 0.752
N: 0.480 0.163 0.748
N: 0.881 0.028 0.660
N: 0.659 0.603 0.341
N: 0.817 0.847 0.859
N: 0.020 0.163 0.248
N: 0.619 0.028 0.160
N: 0.341 0.397 0.659
N: 0.119 0.972 0.340
S: 0.794 0.984 0.874
S: 0.671 0.142 0.096
S: 0.343 0.264 0.297
S: 0.206 0.016 0.126
S: 0.345 0.546 0.665
S: 0.922 0.684 0.573
S: 0.456 0.730 0.298
S: 0.845 0.454 0.835
S: 0.329 0.858 0.904
S: 0.294 0.016 0.626
S: 0.657 0.736 0.703
S: 0.078 0.316 0.427
S: 0.422 0.316 0.927
S: 0.829 0.142 0.596
S: 0.956 0.270 0.202
S: 0.171 0.858 0.404
S: 0.157 0.264 0.797
S: 0.044 0.730 0.798
S: 0.843 0.736 0.203
S: 0.706 0.984 0.374
S: 0.544 0.270 0.702
S: 0.578 0.684 0.073
S: 0.155 0.546 0.165
S: 0.655 0.454 0.335
O: 0.253 0.885 0.417
O: 0.026 0.580 0.834
O: 0.639 0.438 0.251
O: 0.232 0.185 0.797
O: 0.247 0.885 0.917
O: 0.268 0.185 0.297
O: 0.628 0.751 0.124
O: 0.768 0.815 0.203
O: 0.842 0.581 0.248
O: 0.361 0.562 0.749
O: 0.158 0.419 0.752
O: 0.658 0.581 0.748
O: 0.526 0.420 0.666
O: 0.215 0.884 0.199
O: 0.003 0.379 0.388
O: 0.342 0.419 0.252
O: 0.372 0.249 0.876
O: 0.503 0.621 0.112
O: 0.497 0.379 0.888
O: 0.474 0.580 0.334
O: 0.872 0.751 0.624
O: 0.785 0.116 0.801
O: 0.715 0.116 0.301
O: 0.285 0.884 0.699
O: 0.974 0.420 0.166
O: 0.732 0.815 0.703
O: 0.747 0.115 0.583
O: 0.861 0.438 0.751
O: 0.753 0.115 0.083
O: 0.128 0.249 0.376
O: 0.139 0.562 0.249
O: 0.997 0.621 0.612
As: 0.505 0.044 0.186
As: 0.995 0.044 0.686
As: 0.183 0.349 0.052
As: 0.817 0.651 0.948
As: 0.005 0.956 0.314
As: 0.683 0.651 0.448
As: 0.317 0.349 0.552
As: 0.495 0.956 0.814
Ni: 0.354 0.190 0.760
Ni: 0.646 0.810 0.240
Ni: 0.146 0.190 0.260
Ni: 0.854 0.810 0.740

* ΔE_f: -1.58 eV per atom

---

Entry 6:
GdFeAsO after structural relaxation. Source: the Materials Project, functional PBE+U.

Unit cell a=3.997 b=3.997 c=9.111 alpha=90.00 beta=90.00 gamma=90.00
Sites, in units of the cell vectors:
As: 0.000 0.500 0.817
As: 0.500 0.000 0.183
Gd: 0.000 0.500 0.377
Gd: 0.500 0.000 0.623
O: 0.500 0.500 0.500
O: 0.000 0.000 0.500
Fe: 0.000 0.000 0.000
Fe: 0.500 0.500 0.000

* ΔE_f: -1.67 eV per atom